1.
! Pr | Materials Project | r²SCAN | relaxed; values from VASP
! * DFT total energy: -29.4040 eV per atom
! * energy above the most stable polymorph in this dataset: 0.0000 eV per atom
! * formation energy from the elements: 0.0000 eV/atom
! * crystal system: trigonal
&SYSTEM
  ibrav = 0, nat = 6, ntyp = 1
/
ATOMIC_SPECIES
Pr 140.91 Pr.upf
CELL_PARAMETERS angstrom
3.765 0.000 0.000
-1.883 3.261 0.000
0.000 0.000 18.217
ATOMIC_POSITIONS crystal
Pr 0.003 0.669 0.417
Pr 0.331 0.334 0.750
Pr 0.334 0.331 0.250
Pr 0.666 0.997 0.083
Pr 0.669 0.003 0.583
Pr 0.997 0.666 0.917

=====

2.
! Pr | Materials Project | r²SCAN | relaxed; values from VASP
! * DFT total energy: -29.3570 eV per atom
! * energy above the most stable polymorph in this dataset: 0.0469 eV per atom
! * formation energy from the elements: 0.0469 eV/atom
! * crystal system: orthorhombic
&SYSTEM
  ibrav = 0, nat = 2, ntyp = 1
/
ATOMIC_SPECIES
Pr 140.91 Pr.upf
CELL_PARAMETERS angstrom
1.873 -3.318 0.000
1.873 3.318 0.000
0.000 0.000 5.946
ATOMIC_POSITIONS crystal
Pr 0.154 0.846 0.750
Pr 0.846 0.154 0.250

=====

3.
! Pr | Materials Project | r²SCAN | relaxed; values from VASP
! * DFT total energy: -29.3581 eV per atom
! * energy above the most stable polymorph in this dataset: 0.0458 eV per atom
! * formation energy from the elements: 0.0458 eV/atom
! * crystal system: orthorhombic
&SYSTEM
  ibrav = 0, nat = 2, ntyp = 1
/
ATOMIC_SPECIES
Pr 140.91 Pr.upf
CELL_PARAMETERS angstrom
1.893 -3.288 0.000
1.893 3.288 0.000
0.000 0.000 5.951
ATOMIC_POSITIONS crystal
Pr 0.165 0.835 0.750
Pr 0.835 0.165 0.250

=====

> Among the records above, which one has the highest DFT total energy?

number 2